BaAlCuSbO5: relaxed, PBE.

Values from the calculation:
- Total magnetic moment: 0.00 μB/f.u.
- ΔE_f: -1887 meV/atom
- Total energy after the MP2020 corrections: -6.179 eV/atom

a b c (Å): 4.049 4.049 8.722
angles (deg): 90.00 90.00 90.00
Sites, in units of the cell vectors:
O1 0.500 0.000 0.683
O2 0.000 0.500 0.683
O3 0.000 0.000 0.912
O4 0.500 0.000 0.321
O5 0.000 0.500 0.321
Al1 0.500 0.500 0.349
Sb1 0.000 0.000 0.681
Ba1 0.500 0.500 0.919
Cu1 0.000 0.000 0.320